1.
PBE with a Hubbard U VReO4, optimized geometry; E (MP2020) = -109.0 eV/cell; V = 10.976 Å³ per atom; uncorrected energy = -8.34 eV/atom; total moment = 1.97 μB per formula unit; energy relative to the lowest polymorph listed for this composition = 46.0 meV/atom
1.0
-3.805 1.742 2.376
2.181 -1.262 4.100
2.493 5.109 0.246
V O Re
2 8 2
direct
0.500 0.500 0.250
0.500 0.500 0.750
0.287 0.287 0.997
0.713 0.713 0.503
0.220 0.780 0.750
0.713 0.713 0.997
0.809 0.191 0.250
0.780 0.220 0.750
0.287 0.287 0.503
0.191 0.809 0.250
0.000 0.000 0.974
0.000 0.000 0.526

---

2.
PBE with a Hubbard U VReO4, optimized geometry; E (MP2020) = -219.0 eV/cell; V = 10.893 Å³ per atom; uncorrected energy = -8.38 eV/atom; energy relative to the lowest polymorph listed for this composition = 0.0 meV/atom
1.0
0.000 0.000 -5.721
-4.846 4.846 2.861
4.715 4.715 0.000
Re O V
4 16 4
direct
0.032 0.003 0.000
0.279 0.497 0.500
0.718 0.497 0.500
0.472 0.003 0.000
0.905 0.310 0.500
0.744 0.500 0.787
0.744 0.500 0.213
0.494 0.000 0.287
0.845 0.190 0.000
0.363 0.227 0.000
0.658 0.815 0.000
0.092 0.685 0.500
0.256 0.500 0.787
0.387 0.273 0.500
0.138 0.776 0.000
0.612 0.724 0.500
0.006 0.000 0.287
0.006 0.000 0.713
0.494 0.000 0.713
0.256 0.500 0.213
0.993 0.485 0.000
0.238 0.976 0.500
0.512 0.523 0.000
0.758 0.015 0.500

---

3.
PBE with a Hubbard U VReO4, optimized geometry; E (MP2020) = -218.5 eV/cell; V = 10.939 Å³ per atom; uncorrected energy = -8.36 eV/atom; total moment = 1.90 μB per formula unit; energy relative to the lowest polymorph listed for this composition = 20.3 meV/atom
1.0
4.801 -0.073 0.000
0.000 0.000 -5.709
-0.146 9.580 -2.854
O Re V
16 4 4
direct
0.290 0.682 0.642
0.286 0.919 0.144
0.290 0.175 0.642
0.712 0.313 0.357
0.286 0.438 0.144
0.712 0.575 0.857
0.222 0.058 0.385
0.188 0.547 0.406
0.810 0.453 0.594
0.712 0.831 0.357
0.810 0.203 0.094
0.712 0.068 0.857
0.775 0.693 0.114
0.191 0.297 0.906
0.218 0.805 0.890
0.785 0.944 0.611
0.998 0.971 0.001
0.998 0.528 0.001
0.001 0.779 0.499
0.002 0.222 0.499
0.501 0.375 0.749
0.500 0.874 0.750
0.510 0.132 0.237
0.489 0.619 0.264

---

4.
PBE with a Hubbard U ReWO6, optimized geometry; E (MP2020) = -72.2 eV/cell; V = 14.074 Å³ per atom; uncorrected energy = -7.95 eV/atom; total moment = 0.00 μB per formula unit; energy relative to the lowest polymorph listed for this composition = 0.0 meV/atom
1.0
0.000 3.833 3.833
3.833 0.000 3.833
3.833 3.833 0.000
O Re W
6 1 1
direct
0.253 0.747 0.253
0.747 0.253 0.253
0.253 0.253 0.747
0.747 0.747 0.253
0.747 0.253 0.747
0.253 0.747 0.747
0.500 0.500 0.500
0.000 0.000 0.000

---

Please write out number 4 again, unchanged.
PBE with a Hubbard U ReWO6, optimized geometry; E (MP2020) = -72.2 eV/cell; V = 14.074 Å³ per atom; uncorrected energy = -7.95 eV/atom; total moment = 0.00 μB per formula unit; energy relative to the lowest polymorph listed for this composition = 0.0 meV/atom
1.0
0.000 3.833 3.833
3.833 0.000 3.833
3.833 3.833 0.000
O Re W
6 1 1
direct
0.253 0.747 0.253
0.747 0.253 0.253
0.253 0.253 0.747
0.747 0.747 0.253
0.747 0.253 0.747
0.253 0.747 0.747
0.500 0.500 0.500
0.000 0.000 0.000

---

- Look up the V of the third one.
  10.939 Å³ per atom

---

- The lowest V belongs to which entry?
  number 2

---

- Look up the E (MP2020) of the first one.
  -109.0 eV/cell